This record from the Materials Project describes K2Mn3H6S3O16 after structural relaxation. The functional is PBE with a Hubbard U.

Output
E in eV/atom: -6.07
V in Å³ per atom: 12.23

a b c (Å): 18.331 7.899 10.133
angles (deg): 90.00 90.00 90.00
Space group Cmc2_1 (No. 36)
Inequivalent atoms, fractional coordinates:
K 0.193 0.045 0.000
Mn 0.000 0.192 0.735
Mn 0.088 0.470 0.454
H 0.000 0.200 0.487
H 0.000 0.482 0.240
H 0.095 0.179 0.298
H 0.174 0.255 0.294
S 0.000 0.183 0.063
S 0.177 0.301 0.724
O 0.000 0.069 0.945
O 0.000 0.081 0.187
O 0.000 0.307 0.537
O 0.000 0.448 0.819
O 0.067 0.291 0.063
O 0.121 0.163 0.727
O 0.132 0.232 0.354
O 0.161 0.423 0.616
O 0.179 0.389 0.855
O 0.250 0.224 0.698

This record from the Materials Project describes K2Mn3H10S4O21 after structural relaxation. The functional is PBE with a Hubbard U.

Output
E in eV/atom: -5.91
V in Å³ per atom: 11.75

a b c (Å): 19.404 9.941 10.035
angles (deg): 90.00 103.74 90.00
Space group P2_1/c (No. 14)
Inequivalent atoms, fractional coordinates:
K 0.119 0.149 0.363
K 0.261 0.010 0.790
Mn 0.057 0.714 0.941
Mn 0.320 0.656 0.696
Mn 0.338 0.133 0.467
H 0.022 0.136 0.916
H 0.083 0.173 0.048
H 0.126 0.646 0.680
H 0.146 0.574 0.555
H 0.386 0.652 0.479
H 0.411 0.175 0.895
H 0.419 0.535 0.579
H 0.419 0.577 0.931
H 0.430 0.016 0.305
H 0.474 0.240 0.477
S 0.066 0.524 0.222
S 0.231 0.642 0.945
S 0.249 0.159 0.131
S 0.437 0.586 0.199
O 0.008 0.081 0.708
O 0.035 0.198 0.993
O 0.036 0.652 0.265
O 0.084 0.547 0.087
O 0.108 0.624 0.583
O 0.128 0.022 0.826
O 0.155 0.656 0.872
O 0.178 0.213 0.134
O 0.244 0.699 0.085
O 0.246 0.008 0.130
O 0.248 0.005 0.455
O 0.270 0.205 0.004
O 0.276 0.714 0.867
O 0.304 0.208 0.252
O 0.374 0.581 0.538
O 0.391 0.036 0.659
O 0.393 0.521 0.850
O 0.399 0.682 0.273
O 0.426 0.227 0.980
O 0.449 0.653 0.072
O 0.494 0.046 0.211

This record from the Materials Project describes K2Mn3V2H2O10 after structural relaxation. The functional is PBE with a Hubbard U.

Output
E in eV/atom: -6.83
V in Å³ per atom: 13.33

a b c (Å): 15.330 6.260 10.939
angles (deg): 90.00 105.22 90.00
Space group C2 (No. 5)
Inequivalent atoms, fractional coordinates:
K 0.237 0.000 0.399
K 0.237 0.000 0.899
Mn 0.000 0.262 0.000
Mn 0.000 0.266 0.500
Mn 0.000 0.736 0.500
Mn 0.000 0.738 0.000
Mn 0.000 0.999 0.250
V 0.121 0.500 0.295
V 0.121 0.500 0.796
H 0.139 0.000 0.129
H 0.139 0.000 0.629
O 0.072 0.000 0.609
O 0.073 0.000 0.109
O 0.084 0.500 0.127
O 0.084 0.500 0.627
O 0.085 0.267 0.361
O 0.085 0.268 0.861
O 0.085 0.732 0.361
O 0.085 0.732 0.861
O 0.237 0.500 0.339
O 0.237 0.500 0.840

This record from the Materials Project describes K5Te2Mo6H18NO36 after structural relaxation. The functional is PBE with a Hubbard U.

Output
E in eV/atom: -5.67
V in Å³ per atom: 13.82

a b c (Å): 19.291 10.211 21.090
angles (deg): 90.00 115.23 90.00
Space group Cc (No. 9)
Inequivalent atoms, fractional coordinates:
K 0.000 0.045 0.000
K 0.046 0.401 0.759
K 0.075 0.265 0.163
K 0.316 0.248 0.934
K 0.335 0.099 0.316
Te 0.188 0.248 0.039
Te 0.188 0.250 0.537
Mo 0.021 0.359 0.412
Mo 0.048 0.344 0.579
Mo 0.160 0.255 0.368
Mo 0.218 0.248 0.708
Mo 0.331 0.159 0.495
Mo 0.359 0.144 0.663
H 0.015 0.001 0.692
H 0.066 0.074 0.663
H 0.072 0.395 0.014
H 0.113 0.113 0.874
H 0.145 0.101 0.819
H 0.154 0.293 0.916
H 0.167 0.020 0.982
H 0.210 0.477 0.093
H 0.223 0.193 0.162
H 0.231 0.405 0.256
H 0.260 0.379 0.199
H 0.302 0.096 0.063
H 0.318 0.426 0.415
H 0.340 0.496 0.361
H 0.385 0.230 0.182
H 0.405 0.372 0.206
H 0.454 0.318 0.334
H 0.494 0.216 0.392
N 0.428 0.447 0.792
O 0.005 0.497 0.862
O 0.035 0.453 0.498
O 0.039 0.010 0.160
O 0.046 0.473 0.633
O 0.057 0.236 0.362
O 0.080 0.211 0.508
O 0.086 0.301 0.027
O 0.108 0.220 0.655
O 0.119 0.163 0.837
O 0.135 0.101 0.978
O 0.143 0.382 0.307
O 0.153 0.371 0.458
O 0.162 0.114 0.322
O 0.177 0.375 0.602
O 0.182 0.348 0.958
O 0.192 0.144 0.119
O 0.200 0.123 0.473
O 0.218 0.389 0.755
O 0.225 0.130 0.618
O 0.235 0.119 0.767
O 0.240 0.393 0.102
O 0.255 0.337 0.239
O 0.270 0.284 0.422
O 0.291 0.193 0.054
O 0.297 0.284 0.568
O 0.320 0.267 0.711
O 0.331 0.029 0.442
O 0.346 0.050 0.578
O 0.347 0.499 0.909
O 0.371 0.002 0.713
O 0.419 0.237 0.524
O 0.421 0.283 0.221
O 0.431 0.209 0.889
O 0.450 0.211 0.688
O 0.457 0.289 0.379
O 0.460 0.235 0.050

no.,corrected total energy (MP2020 scheme) (eV/cell),calculated formation energy (eV per atom)
1,-792.3,-1.881
2,-1023.5,-1.795
3,-579.9,-2.150
4,-1716.7,-1.540